Entry 1:
PdO2 after structural relaxation, computed with r2SCAN.

**Crystal system**: tetragonal
**ΔE_f**: -0.423 eV/atom
**Volume**: 10.7 Å³ per atom

Unit cell a=4.5222 b=4.5222 c=3.1463 alpha=90.00 beta=90.00 gamma=90.00
Space group P4_2/mnm (No. 136)
Symmetry-distinct sites (fractional):
Pd1 0.0000 0.0000 0.0000
O1 0.1918 0.1918 0.5000

---

Entry 2:
PdSe2O5 after structural relaxation, computed with r2SCAN.

**Crystal system**: monoclinic
**ΔE_f**: -0.709 eV/atom
**Volume**: 14.9 Å³ per atom

Unit cell a=12.2748 b=5.6874 c=7.1467 alpha=90.00 beta=106.89 gamma=90.00
Space group C2/c (No. 15)
Symmetry-distinct sites (fractional):
Pd1 0.0000 0.0000 0.0000
Se1 0.1379 0.4048 0.3168
O1 0.0000 0.4562 0.7500
O2 0.1277 0.2269 0.1235
O3 0.1276 0.2281 0.5027

---

Entry 3:
Sm4PdO7 after structural relaxation, computed with r2SCAN.

**Crystal system**: triclinic
**ΔE_f**: -3.243 eV/atom
**Volume**: 14.4 Å³ per atom

Unit cell a=6.8677 b=7.2063 c=7.8565 alpha=69.08 beta=71.72 gamma=84.19
Space group P-1 (No. 2)
Symmetry-distinct sites (fractional):
Sm1 0.1355 0.3579 0.3552
Sm2 0.1661 0.3271 0.8794
Sm3 0.2914 0.8743 0.7144
Sm4 0.2906 0.8964 0.2318
Pd1 0.5000 0.5000 0.0000
Pd2 0.5000 0.5000 0.5000
O1 0.0084 0.2897 0.6757
O2 0.0613 0.1579 0.2026
O3 0.2035 0.5726 0.0067
O4 0.2382 0.6432 0.5836
O5 0.3433 0.0391 0.9006
O6 0.3478 0.0867 0.4037
O7 0.4470 0.5691 0.2414

---

Entry 4:
YPd2O4 after structural relaxation, computed with r2SCAN.

**Crystal system**: tetragonal
**ΔE_f**: -1.836 eV/atom
**Volume**: 11.8 Å³ per atom

Unit cell a=5.7461 b=5.7461 c=10.0066 alpha=90.00 beta=90.00 gamma=90.00
Space group I4_1/a (No. 88, origin choice 2)
Symmetry-distinct sites (fractional):
Y1 0.0000 0.2500 0.1250
Pd1 0.0000 0.0000 0.5000
O1 0.1559 0.0602 0.3228

---

Entry 5:
RbPrO2 after structural relaxation, computed with r2SCAN.

**Crystal system**: trigonal
**ΔE_f**: -2.780 eV/atom
**Volume**: 19.3 Å³ per atom

Unit cell a=3.6801 b=3.6801 c=19.6978 alpha=90.00 beta=90.00 gamma=120.00
Space group R-3m (No. 166, hexagonal axes)
Symmetry-distinct sites (fractional):
Rb1 0.0000 0.0000 0.0000
Pr1 0.0000 0.0000 0.5000
O1 0.0000 0.0000 0.2279

---

Entry 6:
Pr4Re6O19 after structural relaxation, computed with r2SCAN.

**Crystal system**: trigonal
**ΔE_f**: -2.373 eV/atom
**Volume**: 12.7 Å³ per atom

Unit cell a=12.7627 b=12.7627 c=7.8085 alpha=90.00 beta=90.00 gamma=120.00
Space group R3 (No. 146, hexagonal axes)
Symmetry-distinct sites (fractional):
Pr1 0.0000 0.0000 0.0000
Pr2 0.1054 0.2099 0.5784
Re1 0.0445 0.5889 0.7730
Re2 0.1220 0.3775 0.9281
O1 0.0000 0.0000 0.6832
O2 0.0034 0.3127 0.7367
O3 0.0400 0.7022 0.3301
O4 0.0673 0.1912 0.2524
O5 0.1063 0.8928 0.8970
O6 0.1932 0.7498 0.7502
O7 0.2136 0.1065 0.4701

---

Entry 7:
Pr3Re2O9 after structural relaxation, computed with r2SCAN.

**Crystal system**: triclinic
**ΔE_f**: -2.807 eV/atom
**Volume**: 13.6 Å³ per atom

Unit cell a=5.6419 b=6.8321 c=11.0908 alpha=77.16 beta=75.47 gamma=68.92
Space group P-1 (No. 2)
Symmetry-distinct sites (fractional):
Pr1 0.0027 0.2256 0.2703
Pr2 0.2233 0.1623 0.8827
Pr3 0.2837 0.5937 0.3796
Re1 0.3562 0.1220 0.5712
Re2 0.4895 0.6115 0.9086
O1 0.0634 0.1133 0.7116
O2 0.1110 0.2542 0.4612
O3 0.1425 0.8117 0.9361
O4 0.1762 0.5128 0.1897
O5 0.3019 0.4182 0.5912
O6 0.3590 0.4764 0.8163
O7 0.3765 0.8166 0.5802
O8 0.3868 0.1705 0.0726
O9 0.4120 0.9397 0.3133

---

Entry 8:
Pr5Ru2O12 after structural relaxation, computed with r2SCAN.

**Crystal system**: monoclinic
**ΔE_f**: -2.880 eV/atom
**Volume**: 14.8 Å³ per atom

Unit cell a=12.8365 b=5.9827 c=7.6992 alpha=90.00 beta=107.46 gamma=90.00
Space group C2/m (No. 12)
Symmetry-distinct sites (fractional):
Pr1 0.0000 0.0000 0.0000
Pr2 0.1909 0.5000 0.3328
Pr3 0.1931 0.5000 0.8571
Ru1 0.0000 0.2352 0.5000
O1 0.9999 0.5000 0.3306
O2 0.0009 0.0000 0.6836
O3 0.1548 0.2506 0.0777
O4 0.1579 0.2547 0.5778

---

Q: Which value of ΔE_f does entry 4 give?
A: -1.836 eV/atom